one:
In2S3O12: optimized geometry, PBE.

a = 8.9632 Å, b = 8.6728 Å, c = 14.8871 Å
α = 55.20°, β = 90.00°, γ = 90.00°
With the nearest neighbours (Å) after each atom.
Fractional positions:
In: 0.4631 0.6342 0.1144  6 O 2.14-2.21
In: 0.9631 0.3658 0.3856  6 O 2.14-2.21
In: 0.5369 0.3658 0.8856  6 O 2.14-2.21
In: 0.0369 0.6342 0.6144  6 O 2.14-2.21
In: 0.0326 0.8649 0.8861  6 O 2.13-2.18
In: 0.5326 0.1351 0.6139  6 O 2.13-2.18
In: 0.9674 0.1351 0.1139  6 O 2.13-2.18
In: 0.4674 0.8649 0.3861  6 O 2.13-2.18
S: 0.7527 0.5431 0.9969  4 O 1.48-1.49
S: 0.2527 0.4569 0.5031  4 O 1.48-1.49
S: 0.2473 0.4569 0.0031  4 O 1.48-1.49
S: 0.7473 0.5431 0.4969  4 O 1.48-1.49
S: 0.8836 0.9617 0.6464  4 O 1.48-1.49
S: 0.3836 0.0383 0.8536  4 O 1.48-1.49
S: 0.1164 0.0383 0.3536  4 O 1.48-1.49
S: 0.6164 0.9617 0.1464  4 O 1.48-1.49
S: 0.1191 0.7418 0.1544  4 O 1.48-1.49
S: 0.6191 0.2582 0.3456  4 O 1.48-1.49
S: 0.8809 0.2582 0.8456  4 O 1.48-1.49
S: 0.3809 0.7418 0.6544  4 O 1.48-1.49
O: 0.9270 0.1572 0.5587  1 S 1.48
O: 0.4270 0.8428 0.9413  1 S 1.48
O: 0.0730 0.8428 0.4413  1 S 1.48
O: 0.5730 0.1572 0.0587  1 S 1.48
O: 0.8184 0.7308 0.9534  1 S 1.49
O: 0.3184 0.2692 0.5466  1 S 1.49
O: 0.1816 0.2692 0.0466  1 S 1.49
O: 0.6816 0.7308 0.4534  1 S 1.49
O: 0.0823 0.8729 0.1851  1 S 1.48
O: 0.5823 0.1271 0.3149  1 S 1.48
O: 0.9177 0.1271 0.8149  1 S 1.48
O: 0.4177 0.8729 0.6851  1 S 1.48
O: 0.9917 0.8837 0.7376  1 S 1.48
O: 0.4917 0.1163 0.7624  1 S 1.48
O: 0.0083 0.1163 0.2624  1 S 1.48
O: 0.5083 0.8837 0.2376  1 S 1.48
O: 0.0214 0.5731 0.2150  1 S 1.49
O: 0.6989 0.5384 0.9040  1 S 1.49
O: 0.3011 0.4616 0.0960  1 S 1.49
O: 0.8011 0.5384 0.4040  1 S 1.49
O: 0.7686 0.9619 0.1861  1 S 1.49
O: 0.2686 0.0381 0.3139  1 S 1.49
O: 0.2314 0.0381 0.8139  1 S 1.49
O: 0.7314 0.9619 0.6861  1 S 1.49
O: 0.6328 0.3971 0.5617  1 S 1.48
O: 0.1328 0.6029 0.9383  1 S 1.48
O: 0.3672 0.6029 0.4383  1 S 1.48
O: 0.8672 0.3971 0.0617  1 S 1.48
O: 0.6149 0.8407 0.1048  1 S 1.49
O: 0.1149 0.1593 0.3952  1 S 1.49
O: 0.3851 0.1593 0.8952  1 S 1.49
O: 0.8851 0.8407 0.6048  1 S 1.49
O: 0.2216 0.6886 0.6842  1 S 1.49
O: 0.7216 0.3114 0.8158  1 S 1.49
O: 0.7784 0.3114 0.3158  1 S 1.49
O: 0.2784 0.6886 0.1842  1 S 1.49
O: 0.8716 0.5087 0.5719  1 S 1.48
O: 0.3716 0.4913 0.9281  1 S 1.48
O: 0.1284 0.4913 0.4281  1 S 1.48
O: 0.6284 0.5087 0.0719  1 S 1.48
O: 0.4022 0.8360 0.5355  1 S 1.48
O: 0.9022 0.1640 0.9645  1 S 1.48
O: 0.5978 0.1640 0.4645  1 S 1.48
O: 0.0978 0.8360 0.0355  1 S 1.48
O: 0.4786 0.5731 0.7150  1 S 1.49
O: 0.9786 0.4269 0.7850  1 S 1.49
O: 0.5214 0.4269 0.2850  1 S 1.49
O: 0.1989 0.4616 0.5960  1 S 1.49

density = 3.619 g cm⁻³
V = 237.6 Å³/f.u.

---

two:
In2S3O12: optimized geometry, PBE.

a = 8.9418 Å, b = 8.9418 Å, c = 22.9228 Å
α = 90.00°, β = 90.00°, γ = 120.00°
With the nearest neighbours (Å) after each atom.
Fractional positions:
In: 0.0000 0.0000 0.3534  6 O 2.14
In: 0.0000 0.0000 0.8534  6 O 2.14
In: 0.0000 0.0000 0.6466  6 O 2.14
In: 0.0000 0.0000 0.1466  6 O 2.14
In: 0.6667 0.3333 0.6868  6 O 2.14
In: 0.6667 0.3333 0.1868  6 O 2.14
In: 0.6667 0.3333 0.9799  6 O 2.14
In: 0.6667 0.3333 0.4799  6 O 2.14
In: 0.3333 0.6667 0.0201  6 O 2.14
In: 0.3333 0.6667 0.5201  6 O 2.14
In: 0.3333 0.6667 0.3132  6 O 2.14
In: 0.3333 0.6667 0.8132  6 O 2.14
S: 0.2915 0.0000 0.2500  4 O 1.48
S: 0.7085 0.7085 0.2500  4 O 1.48
S: 0.0000 0.2915 0.2500  4 O 1.48
S: 0.2915 0.2915 0.7500  4 O 1.48
S: 0.0000 0.7085 0.7500  4 O 1.48
S: 0.7085 0.0000 0.7500  4 O 1.48
S: 0.9581 0.3333 0.5833  4 O 1.48
S: 0.3752 0.0419 0.5833  4 O 1.48
S: 0.6667 0.6248 0.5833  4 O 1.48
S: 0.9581 0.6248 0.0833  4 O 1.48
S: 0.6667 0.0419 0.0833  4 O 1.48
S: 0.3752 0.3333 0.0833  4 O 1.48
S: 0.6248 0.6667 0.9167  4 O 1.48
S: 0.0419 0.3752 0.9167  4 O 1.48
S: 0.3333 0.9581 0.9167  4 O 1.48
S: 0.6248 0.9581 0.4167  4 O 1.48
S: 0.3333 0.3752 0.4167  4 O 1.48
S: 0.0419 0.6667 0.4167  4 O 1.48
O: 0.2150 0.0331 0.3023  1 S 1.48
O: 0.8181 0.7850 0.3023  1 S 1.48
O: 0.9669 0.1819 0.3023  1 S 1.48
O: 0.2150 0.1819 0.8023  1 S 1.48
O: 0.9669 0.7850 0.8023  1 S 1.48
O: 0.8181 0.0331 0.8023  1 S 1.48
O: 0.7850 0.9669 0.6977  1 S 1.48
O: 0.1819 0.2150 0.6977  1 S 1.48
O: 0.0331 0.8181 0.6977  1 S 1.48
O: 0.7850 0.8181 0.1977  1 S 1.48
O: 0.0331 0.2150 0.1977  1 S 1.48
O: 0.1819 0.9669 0.1977  1 S 1.48
O: 0.8816 0.3664 0.6357  1 S 1.48
O: 0.4848 0.1184 0.6357  1 S 1.48
O: 0.6336 0.5152 0.6357  1 S 1.48
O: 0.8816 0.5152 0.1357  1 S 1.48
O: 0.6336 0.1184 0.1357  1 S 1.48
O: 0.4848 0.3664 0.1357  1 S 1.48
O: 0.4517 0.3003 0.0310  1 S 1.48
O: 0.8486 0.5483 0.0310  1 S 1.48
O: 0.6997 0.1514 0.0310  1 S 1.48
O: 0.4517 0.1514 0.5310  1 S 1.48
O: 0.6997 0.5483 0.5310  1 S 1.48
O: 0.8486 0.3003 0.5310  1 S 1.48
O: 0.5483 0.6997 0.9690  1 S 1.48
O: 0.1514 0.4517 0.9690  1 S 1.48
O: 0.3003 0.8486 0.9690  1 S 1.48
O: 0.5483 0.8486 0.4690  1 S 1.48
O: 0.3003 0.4517 0.4690  1 S 1.48
O: 0.1514 0.6997 0.4690  1 S 1.48
O: 0.1184 0.6336 0.3643  1 S 1.48
O: 0.5152 0.8816 0.3643  1 S 1.48
O: 0.3664 0.4848 0.3643  1 S 1.48
O: 0.1184 0.4848 0.8643  1 S 1.48
O: 0.3664 0.8816 0.8643  1 S 1.48
O: 0.5152 0.6336 0.8643  1 S 1.48
O: 0.0248 0.8217 0.4094  1 S 1.48
O: 0.7969 0.9752 0.4094  1 S 1.48
O: 0.1783 0.2031 0.4094  1 S 1.48
O: 0.0248 0.2031 0.9094  1 S 1.48
O: 0.1783 0.9752 0.9094  1 S 1.48
O: 0.7969 0.8217 0.9094  1 S 1.48
O: 0.9752 0.1783 0.5906  1 S 1.48
O: 0.2031 0.0248 0.5906  1 S 1.48
O: 0.8217 0.7969 0.5906  1 S 1.48
O: 0.9752 0.7969 0.0906  1 S 1.48
O: 0.8217 0.0248 0.0906  1 S 1.48
O: 0.2031 0.1783 0.0906  1 S 1.48
O: 0.6915 0.1550 0.7428  1 S 1.48
O: 0.4636 0.3085 0.7428  1 S 1.48
O: 0.8450 0.5364 0.7428  1 S 1.48
O: 0.6915 0.5364 0.2428  1 S 1.48
O: 0.8450 0.3085 0.2428  1 S 1.48
O: 0.4636 0.1550 0.2428  1 S 1.48
O: 0.6419 0.5117 0.9239  1 S 1.48
O: 0.8698 0.3581 0.9239  1 S 1.48
O: 0.4883 0.1302 0.9239  1 S 1.48
O: 0.6419 0.1302 0.4239  1 S 1.48
O: 0.4883 0.3581 0.4239  1 S 1.48
O: 0.8698 0.5117 0.4239  1 S 1.48
O: 0.3581 0.4883 0.0761  1 S 1.48
O: 0.1302 0.6419 0.0761  1 S 1.48
O: 0.5117 0.8698 0.0761  1 S 1.48
O: 0.3581 0.8698 0.5761  1 S 1.48
O: 0.5117 0.6419 0.5761  1 S 1.48
O: 0.1302 0.4883 0.5761  1 S 1.48
O: 0.3085 0.8450 0.2572  1 S 1.48
O: 0.5364 0.6915 0.2572  1 S 1.48
O: 0.1550 0.4636 0.2572  1 S 1.48
O: 0.3085 0.4636 0.7572  1 S 1.48
O: 0.1550 0.6915 0.7572  1 S 1.48
O: 0.5364 0.8450 0.7572  1 S 1.48

density = 3.250 g cm⁻³
V = 264.5 Å³/f.u.

---

Taking the most stable structure as the zero point, the relative energies in kJ/mol of atoms are one 0.0; two 1.4.

---

one:
MgSi2: optimized geometry, PBE.

a = 5.2575 Å, b = 4.5423 Å, c = 9.5775 Å
α = 89.90°, β = 94.28°, γ = 64.53°
With the nearest neighbours (Å) after each atom.
Fractional positions:
Mg: 0.2841 0.4373 0.1033  11 Si 2.79-3.01, 2 Mg 2.97-3.10
Mg: 0.7159 0.2293 0.8966  11 Si 2.79-3.01, 2 Mg 2.97-3.10
Mg: 0.9901 0.0898 0.6135  8 Si 2.76-3.03
Mg: 0.0099 0.5768 0.3865  8 Si 2.76-3.03
Si: 0.3048 0.9321 0.9022  4 Si 2.43-2.66
Si: 0.6952 0.7346 0.0977  4 Si 2.43-2.66
Si: 0.4230 0.8691 0.3020  4 Si 2.43-2.54
Si: 0.3771 0.3977 0.6259  3 Si 2.44-2.54
Si: 0.9372 0.1109 0.1847  4 Si 2.44-2.66
Si: 0.0628 0.5557 0.8153  4 Si 2.44-2.66
Si: 0.5770 0.7975 0.6980  4 Si 2.43-2.54
Si: 0.6230 0.2690 0.3741  3 Si 2.44-2.54

density = 2.598 g cm⁻³
V = 51.4 Å³/f.u.

---

two:
MgSi2: optimized geometry, PBE.

a = 3.8743 Å, b = 5.4187 Å, c = 11.5879 Å
α = 77.41°, β = 81.15°, γ = 69.43°
With the nearest neighbours (Å) after each atom.
Fractional positions:
Mg: 0.1495 0.7062 0.1093  3 Si 2.68-2.98
Mg: 0.3955 0.4316 0.8655  8 Si 2.70-2.79, 1 Mg 2.98
Mg: 0.5943 0.2616 0.6295  7 Si 2.77-3.06, 1 Mg 2.98
Mg: 0.2047 0.2665 0.3820  8 Si 2.77-3.03
Si: 0.7006 0.7804 0.9066  4 Si 2.40-2.58
Si: 0.4107 0.1339 0.1577  2 Si 2.46-2.47
Si: 0.9385 0.8590 0.3215  2 Si 2.42, 1 Mg 2.68
Si: 0.2993 0.8731 0.6005  3 Si 2.39-2.42
Si: 0.8808 0.3075 0.0337  4 Si 2.46-2.58, 2 Mg 2.72-2.73
Si: 0.0845 0.0600 0.8598  3 Si 2.40-2.54
Si: 0.8553 0.6603 0.7037  3 Si 2.42-2.50
Si: 0.4860 0.6598 0.4301  3 Si 2.39-2.42

density = 2.413 g cm⁻³
V = 55.4 Å³/f.u.

---

three:
MgSi2: optimized geometry, PBE.

a = 9.2299 Å, b = 9.2299 Å, c = 6.8330 Å
α = 89.57°, β = 89.57°, γ = 23.53°
With the nearest neighbours (Å) after each atom.
Fractional positions:
Mg: 0.8382 0.8382 0.5019  8 Si 2.86-3.14
Mg: 0.1009 0.1009 0.9410  3 Si 2.68-2.87
Mg: 0.1618 0.1618 0.4981  8 Si 2.86-3.14
Mg: 0.8991 0.8991 0.0590  3 Si 2.68-2.87
Si: 0.5787 0.5787 0.2527  3 Si 2.33-2.41
Si: 0.2935 0.2935 0.8519  4 Si 2.40-2.54
Si: 0.4213 0.4213 0.7473  3 Si 2.33-2.41
Si: 0.7065 0.7065 0.1481  4 Si 2.40-2.54
Si: 0.2833 0.2833 0.2227  3 Si 2.40-2.54
Si: 0.9929 0.9929 0.6741  3 Si 2.33-2.39
Si: 0.7167 0.7167 0.7773  3 Si 2.40-2.54
Si: 0.0071 0.0071 0.3259  3 Si 2.33-2.39

density = 2.300 g cm⁻³
V = 58.1 Å³/f.u.

---

four:
MgSi2: optimized geometry, PBE.

a = 5.6324 Å, b = 3.7742 Å, c = 11.7413 Å
α = 81.49°, β = 104.04°, γ = 110.64°
With the nearest neighbours (Å) after each atom.
Fractional positions:
Mg: 0.7643 0.6255 0.1386  6 Si 2.73-3.04
Mg: 0.2558 0.3278 0.8710  6 Si 2.75-2.99
Mg: 0.8014 0.6971 0.6593  4 Si 2.69-2.91
Mg: 0.1406 0.2178 0.3198  8 Si 2.70-3.01
Si: 0.6445 0.0552 0.8175  3 Si 2.38-2.45
Si: 0.4065 0.9215 0.1846  3 Si 2.40-2.48
Si: 0.5629 0.8879 0.4013  4 Si 2.36-2.48
Si: 0.2985 0.1205 0.6590  3 Si 2.37-2.41
Si: 0.1637 0.3430 0.0896  3 Si 2.40-2.59
Si: 0.8637 0.6107 0.9235  3 Si 2.38-2.59
Si: 0.2601 0.6658 0.5305  4 Si 2.37-2.41
Si: 0.8381 0.5271 0.4054  3 Si 2.36-2.40

density = 2.365 g cm⁻³
V = 56.5 Å³/f.u.

---

Taking the most stable structure as the zero point, the relative energies in kJ/mol of atoms are one 1.4; two 3.2; three 2.2; four 0.0.

---

one:
MgSi2: optimized geometry, PBE.

a = 5.7828 Å, b = 5.7828 Å, c = 11.5431 Å
α = 71.29°, β = 71.29°, γ = 37.89°
With the nearest neighbours (Å) after each atom.
Fractional positions:
Mg: 0.2251 0.2251 0.1742  7 Si 2.66-2.95
Mg: 0.1526 0.1526 0.8387  6 Si 2.84-3.12
Mg: 0.7749 0.7749 0.5857  7 Si 2.76-3.06
Mg: 0.5147 0.5147 0.3729  6 Si 2.85-2.98
Si: 0.8069 0.8069 0.9642  4 Si 2.39-2.51
Si: 0.5803 0.5803 0.1007  3 Si 2.40-2.45
Si: 0.8409 0.8409 0.3265  3 Si 2.42-2.45
Si: 0.0732 0.0732 0.6286  3 Si 2.41-2.42
Si: 0.9431 0.9431 0.1015  4 Si 2.40-2.51
Si: 0.4243 0.4243 0.8517  3 Si 2.39
Si: 0.4298 0.4298 0.6431  3 Si 2.39-2.42
Si: 0.1990 0.1990 0.4121  3 Si 2.41-2.42, 1 Mg 2.66

density = 2.397 g cm⁻³
V = 55.8 Å³/f.u.

---

two:
MgSi2: optimized geometry, PBE.

a = 3.6030 Å, b = 6.9330 Å, c = 9.0069 Å
α = 77.01°, β = 90.00°, γ = 90.00°
With the nearest neighbours (Å) after each atom.
Fractional positions:
Mg: 0.7500 0.4532 0.8588  6 Si 2.67-2.97
Mg: 0.2500 0.5468 0.1412  6 Si 2.67-2.97
Mg: 0.7500 0.7404 0.3608  6 Si 2.70-2.98
Mg: 0.2500 0.2596 0.6392  6 Si 2.70-2.98
Si: 0.2500 0.9727 0.1473  3 Si 2.42-2.56
Si: 0.2500 0.7917 0.8655  3 Si 2.42-2.50, 1 Mg 2.67
Si: 0.7500 0.9136 0.6014  5 Si 2.51-2.65, 1 Mg 2.70
Si: 0.7500 0.3440 0.3692  3 Si 2.50-2.51, 1 Mg 2.73
Si: 0.7500 0.0273 0.8527  3 Si 2.42-2.56
Si: 0.7500 0.2083 0.1345  3 Si 2.42-2.50, 1 Mg 2.67
Si: 0.2500 0.0864 0.3986  5 Si 2.51-2.65, 1 Mg 2.70
Si: 0.2500 0.6560 0.6308  3 Si 2.50-2.51, 1 Mg 2.73

density = 2.438 g cm⁻³
V = 54.8 Å³/f.u.

---

Taking the most stable structure as the zero point, the relative energies in kJ/mol of atoms are one 0.0; two 5.6.